1.
The following is a GGA+U calculation of a relaxed CoP2O4 crystal, from the Materials Project database.

Cell: 5.436 7.598 6.564 Å, 90.00 90.30 90.00°
Positions (direct):
Co1 0.000 0.000 0.000
Co2 0.000 0.000 0.500
P1 0.000 0.372 0.250
P2 0.000 0.628 0.750
P3 0.500 0.149 0.750
P4 0.500 0.851 0.250
O1 0.003 0.260 0.055
O2 0.003 0.740 0.555
O3 0.269 0.033 0.765
O4 0.269 0.967 0.265
O5 0.731 0.033 0.735
O6 0.731 0.967 0.235
O7 0.997 0.260 0.445
O8 0.997 0.740 0.945

The value obtained for the formation energy is -1.627 eV per atom. As for the energy above the most stable polymorph in this dataset: 0.0 meV per atom.

2.
The following is a GGA+U calculation of a relaxed V2PO5 crystal, from the Materials Project database.

Cell: 5.480 5.480 7.371 Å, 111.78 111.78 90.01°
Positions (direct):
V1 0.000 0.000 0.000
V2 0.000 0.000 0.500
V3 0.000 0.500 0.000
V4 0.500 0.000 0.500
P1 0.373 0.627 0.750
P2 0.627 0.373 0.250
O1 0.115 0.885 0.250
O2 0.206 0.697 0.887
O3 0.303 0.794 0.613
O4 0.305 0.322 0.618
O5 0.322 0.305 0.118
O6 0.678 0.695 0.882
O7 0.695 0.678 0.382
O8 0.697 0.206 0.387
O9 0.794 0.303 0.113
O10 0.885 0.115 0.750

The value obtained for the formation energy is -2.605 eV per atom.

3.
The following is a GGA+U calculation of a relaxed Li4Ti3Mn2Cu3O16 crystal, from the Materials Project database.

Cell: 5.893 5.895 9.546 Å, 88.02 89.91 60.11°
Positions (direct):
Li1 0.000 0.000 0.000
Li2 0.004 0.993 0.508
Li3 0.346 0.307 0.414
Li4 0.679 0.644 0.910
Ti1 0.180 0.638 0.727
Ti2 0.350 0.804 0.226
Ti3 0.845 0.805 0.226
Mn1 0.345 0.308 0.995
Mn2 0.679 0.640 0.498
Cu1 0.180 0.150 0.721
Cu2 0.668 0.150 0.724
Cu3 0.841 0.318 0.221
O1 0.010 0.988 0.810
O2 0.011 0.979 0.317
O3 0.049 0.483 0.868
O4 0.182 0.637 0.120
O5 0.198 0.127 0.105
O6 0.340 0.313 0.620
O7 0.357 0.783 0.608
O8 0.476 0.474 0.865
O9 0.484 0.029 0.860
O10 0.519 0.513 0.365
O11 0.530 0.939 0.350
O12 0.674 0.652 0.118
O13 0.675 0.127 0.105
O14 0.843 0.314 0.609
O15 0.853 0.793 0.610
O16 0.968 0.514 0.366

The value obtained for the formation energy is -2.196 eV per atom.

4.
The following is a GGA+U calculation of a relaxed MgMn6O8F4 crystal, from the Materials Project database.

Cell: 5.719 5.868 7.851 Å, 107.98 97.07 112.52°
Positions (direct):
Mg1 0.000 0.000 0.000
Mn1 0.014 0.035 0.504
Mn2 0.296 0.545 0.356
Mn3 0.374 0.917 0.774
Mn4 0.626 0.021 0.191
Mn5 0.674 0.443 0.641
Mn6 0.987 0.488 0.995
O1 0.033 0.684 0.825
O2 0.217 0.843 0.528
O3 0.307 0.362 0.530
O4 0.337 0.690 0.170
O5 0.593 0.856 0.928
O6 0.629 0.283 0.825
O7 0.762 0.171 0.456
O8 0.947 0.308 0.171
F1 0.071 0.165 0.813
F2 0.376 0.196 0.147
F3 0.701 0.703 0.501
F4 0.915 0.833 0.193

The value obtained for the formation energy is -2.292 eV per atom. As for the energy above the most stable polymorph in this dataset: 21.8 meV per atom.

5.
The following is a GGA+U calculation of a relaxed Li2MnOF3 crystal, from the Materials Project database.

Cell: 6.076 6.076 8.266 Å, 90.00 90.00 90.00°
Positions (direct):
Li1 0.016 0.233 0.000
Li2 0.233 0.984 0.750
Li3 0.243 0.736 0.114
Li4 0.264 0.243 0.364
Li5 0.736 0.757 0.864
Li6 0.757 0.264 0.614
Li7 0.767 0.016 0.250
Li8 0.984 0.767 0.500
Mn1 0.245 0.504 0.752
Mn2 0.496 0.245 0.002
Mn3 0.504 0.755 0.502
Mn4 0.755 0.496 0.252
O1 0.279 0.467 0.978
O2 0.467 0.721 0.728
O3 0.533 0.279 0.228
O4 0.721 0.533 0.478
F1 0.000 0.245 0.239
F2 0.000 0.755 0.739
F3 0.027 0.262 0.751
F4 0.224 0.503 0.509
F5 0.245 0.000 0.989
F6 0.262 0.973 0.501
F7 0.497 0.224 0.759
F8 0.503 0.776 0.259
F9 0.738 0.027 0.001
F10 0.755 0.000 0.489
F11 0.776 0.497 0.009
F12 0.973 0.738 0.251

The value obtained for the formation energy is -2.795 eV per atom. As for the energy above the most stable polymorph in this dataset: 3.1 meV per atom.

6.
The following is a GGA+U calculation of a relaxed NaNi3O4 crystal, from the Materials Project database.

Cell: 3.008 5.217 10.008 Å, 86.17 82.35 89.18°
Positions (direct):
Na1 0.140 0.378 0.250
Na2 0.860 0.622 0.750
Ni1 0.000 0.000 0.500
Ni2 0.248 0.750 0.995
Ni3 0.370 0.124 0.751
Ni4 0.500 0.500 0.500
Ni5 0.630 0.876 0.249
Ni6 0.752 0.250 0.005
O1 0.058 0.712 0.386
O2 0.189 0.039 0.121
O3 0.304 0.413 0.892
O4 0.412 0.836 0.609
O5 0.588 0.164 0.391
O6 0.696 0.587 0.108
O7 0.811 0.961 0.879
O8 0.942 0.288 0.614

The value obtained for the formation energy is -1.238 eV per atom.

7.
The following is a GGA+U calculation of a relaxed CsMnH4Cl3O2 crystal, from the Materials Project database.

Cell: 9.139 7.384 11.600 Å, 90.00 90.00 90.00°
Positions (direct):
Cs1 0.250 0.000 0.146
Cs2 0.250 0.000 0.646
Cs3 0.750 0.000 0.354
Cs4 0.750 0.000 0.854
Mn1 0.000 0.468 0.250
Mn2 0.000 0.532 0.750
Mn3 0.500 0.468 0.750
Mn4 0.500 0.532 0.250
H1 0.022 0.308 0.948
H2 0.022 0.692 0.448
H3 0.176 0.300 0.885
H4 0.176 0.700 0.385
H5 0.324 0.300 0.385
H6 0.324 0.700 0.885
H7 0.478 0.308 0.448
H8 0.478 0.692 0.948
H9 0.522 0.308 0.052
H10 0.522 0.692 0.552
H11 0.676 0.300 0.115
H12 0.676 0.700 0.615
H13 0.824 0.300 0.615
H14 0.824 0.700 0.115
H15 0.978 0.308 0.552
H16 0.978 0.692 0.052
Cl1 0.089 0.222 0.391
Cl2 0.089 0.778 0.891
Cl3 0.250 0.500 0.151
Cl4 0.250 0.500 0.651
Cl5 0.411 0.222 0.891
Cl6 0.411 0.778 0.391
Cl7 0.589 0.222 0.609
Cl8 0.589 0.778 0.109
Cl9 0.750 0.500 0.349
Cl10 0.750 0.500 0.849
Cl11 0.911 0.222 0.109
Cl12 0.911 0.778 0.609
O1 0.070 0.315 0.871
O2 0.070 0.685 0.371
O3 0.430 0.315 0.371
O4 0.430 0.685 0.871
O5 0.570 0.315 0.129
O6 0.570 0.685 0.629
O7 0.930 0.315 0.629
O8 0.930 0.685 0.129

The value obtained for the formation energy is -1.429 eV per atom.

8.
The following is a GGA+U calculation of a relaxed CaFeReO6 crystal, from the Materials Project database.

Cell: 5.338 5.515 9.321 Å, 90.00 124.87 90.00°
Positions (direct):
Ca1 0.000 0.189 0.000
Ca2 0.000 0.811 0.500
Fe1 0.755 0.256 0.251
Fe2 0.755 0.744 0.751
Re1 0.262 0.263 0.751
Re2 0.262 0.737 0.251
O1 0.032 0.460 0.209
O2 0.032 0.540 0.709
O3 0.095 0.240 0.511
O4 0.095 0.760 0.011
O5 0.426 0.269 0.994
O6 0.426 0.731 0.494
O7 0.513 0.021 0.287
O8 0.513 0.979 0.787
O9 0.600 0.447 0.797
O10 0.600 0.553 0.297
O11 0.961 0.045 0.721
O12 0.961 0.955 0.221

The value obtained for the formation energy is -2.257 eV per atom.

9.
The following is a GGA+U calculation of a relaxed Ca2V3Co2AgO12 crystal, from the Materials Project database.

Cell: 10.945 10.945 10.945 Å, 109.39 109.39 109.62°
Positions (direct):
Ca1 0.127 0.250 0.377
Ca2 0.250 0.373 0.123
Ca3 0.250 0.873 0.623
Ca4 0.373 0.750 0.123
Ca5 0.627 0.250 0.877
Ca6 0.750 0.127 0.377
Ca7 0.750 0.627 0.877
Ca8 0.873 0.750 0.623
V1 0.124 0.750 0.874
V2 0.125 0.875 0.250
V3 0.250 0.124 0.874
V4 0.250 0.624 0.374
V5 0.375 0.625 0.750
V6 0.376 0.250 0.626
V7 0.624 0.750 0.374
V8 0.625 0.375 0.250
V9 0.750 0.376 0.626
V10 0.750 0.876 0.126
V11 0.875 0.125 0.750
V12 0.876 0.250 0.126
Co1 0.000 0.000 0.000
Co2 0.000 0.000 0.500
Co3 0.000 0.500 0.000
Co4 0.000 0.500 0.500
Co5 0.500 0.000 0.000
Co6 0.500 0.000 0.500
Co7 0.500 0.500 0.000
Co8 0.500 0.500 0.500
Ag1 0.125 0.375 0.750
Ag2 0.375 0.125 0.250
Ag3 0.625 0.875 0.750
Ag4 0.875 0.625 0.250
O1 0.011 0.306 0.903
O2 0.016 0.206 0.121
O3 0.085 0.706 0.690
O4 0.098 0.892 0.403
O5 0.105 0.984 0.690
O6 0.107 0.616 0.415
O7 0.108 0.011 0.205
O8 0.116 0.607 0.915
O9 0.192 0.202 0.585
O10 0.194 0.489 0.597
O11 0.202 0.116 0.009
O12 0.206 0.585 0.190
O13 0.294 0.484 0.379
O14 0.298 0.308 0.915
O15 0.306 0.902 0.295
O16 0.308 0.893 0.009
O17 0.384 0.298 0.491
O18 0.392 0.598 0.903
O19 0.393 0.808 0.509
O20 0.395 0.085 0.879
O21 0.402 0.806 0.795
O22 0.415 0.105 0.621
O23 0.484 0.605 0.190
O24 0.489 0.392 0.295
O25 0.511 0.608 0.705
O26 0.516 0.395 0.810
O27 0.585 0.895 0.379
O28 0.598 0.194 0.205
O29 0.605 0.915 0.121
O30 0.607 0.192 0.491
O31 0.608 0.402 0.097
O32 0.616 0.702 0.509
O33 0.692 0.107 0.991
O34 0.694 0.098 0.705
O35 0.702 0.692 0.085
O36 0.706 0.516 0.621
O37 0.794 0.415 0.810
O38 0.798 0.884 0.991
O39 0.806 0.511 0.403
O40 0.808 0.798 0.415
O41 0.884 0.393 0.085
O42 0.892 0.989 0.795
O43 0.893 0.384 0.585
O44 0.895 0.016 0.310
O45 0.902 0.108 0.597
O46 0.915 0.294 0.310
O47 0.984 0.794 0.879
O48 0.989 0.694 0.097

The value obtained for the formation energy is -2.152 eV per atom.

10.
The following is a GGA+U calculation of a relaxed Li3Mn4O8 crystal, from the Materials Project database.

Cell: 5.314 5.747 6.080 Å, 117.74 110.29 90.09°
Positions (direct):
Li1 0.000 0.000 0.000
Li2 0.000 0.496 0.000
Li3 0.985 0.001 0.507
Mn1 0.490 0.744 0.993
Mn2 0.498 0.249 0.498
Mn3 0.498 0.745 0.498
Mn4 0.510 0.251 0.007
O1 0.272 0.896 0.782
O2 0.274 0.383 0.783
O3 0.285 0.383 0.272
O4 0.289 0.867 0.240
O5 0.696 0.628 0.759
O6 0.726 0.090 0.214
O7 0.728 0.106 0.716
O8 0.728 0.618 0.214

The value obtained for the formation energy is -2.085 eV per atom. As for the energy above the most stable polymorph in this dataset: 10.8 meV per atom.

11.
The following is a GGA+U calculation of a relaxed TlWO3 crystal, from the Materials Project database.

Cell: 4.077 4.077 4.077 Å, 90.00 90.00 90.00°
Positions (direct):
Tl1 0.000 0.000 0.000
W1 0.500 0.500 0.500
O1 0.000 0.500 0.500
O2 0.500 0.000 0.500
O3 0.500 0.500 0.000

The value obtained for the formation energy is -1.644 eV per atom.

12.
The following is a GGA+U calculation of a relaxed Li9Mn2Co5O16 crystal, from the Materials Project database.

Cell: 5.786 6.594 7.708 Å, 89.72 79.37 77.30°
Positions (direct):
Li1 0.000 0.000 0.000
Li2 0.004 0.503 0.514
Li3 0.123 0.884 0.637
Li4 0.240 0.249 0.763
Li5 0.249 0.757 0.267
Li6 0.487 0.513 0.513
Li7 0.500 0.003 0.009
Li8 0.743 0.761 0.261
Li9 0.757 0.245 0.767
Mn1 0.619 0.882 0.635
Mn2 0.878 0.123 0.390
Co1 0.124 0.381 0.136
Co2 0.366 0.639 0.882
Co3 0.372 0.126 0.389
Co4 0.622 0.375 0.134
Co5 0.877 0.638 0.881
O1 0.063 0.189 0.552
O2 0.063 0.682 0.072
O3 0.178 0.072 0.221
O4 0.182 0.565 0.718
O5 0.317 0.415 0.320
O6 0.330 0.935 0.814
O7 0.431 0.325 0.962
O8 0.440 0.839 0.457
O9 0.568 0.678 0.061
O10 0.570 0.171 0.561
O11 0.678 0.076 0.219
O12 0.678 0.595 0.693
O13 0.799 0.933 0.814
O14 0.816 0.414 0.318
O15 0.915 0.840 0.456
O16 0.932 0.323 0.960

The value obtained for the formation energy is -1.852 eV per atom. As for the energy above the most stable polymorph in this dataset: 11.7 meV per atom.